Below is a geometry-optimized Sr5Ca3Fe7CoO20 structure, with properties calculated at the PBE with a Hubbard U level.

Cell lengths 11.026, 11.412, 17.382 Å; angles 109.09, 108.64, 90.00 degrees
Element x y z (fractional)
Ca 0.199 0.938 0.900
Ca 0.300 0.064 0.104
Ca 0.555 0.789 0.104
Ca 0.194 0.930 0.389
Ca 0.293 0.568 0.104
Ca 0.946 0.716 0.901
Ca 0.806 0.569 0.103
Ca 0.046 0.788 0.105
Ca 0.549 0.282 0.105
Ca 0.803 0.063 0.104
Ca 0.051 0.284 0.105
Ca 0.707 0.438 0.900
O 0.942 0.908 0.359
O 0.849 0.281 0.141
O 0.684 0.437 0.760
O 0.442 0.906 0.357
O 0.629 0.616 0.991
O 0.874 0.120 0.492
O 0.388 0.386 0.018
O 0.691 0.945 0.754
O 0.599 0.113 0.146
O 0.674 0.430 0.237
O 0.623 0.122 0.491
O 0.686 0.699 0.356
O 0.888 0.389 0.017
O 0.437 0.408 0.356
O 0.078 0.596 0.641
O 0.925 0.059 0.239
O 0.937 0.573 0.763
O 0.881 0.879 0.506
O 0.423 0.057 0.239
O 0.086 0.093 0.642
O 0.336 0.783 0.140
O 0.579 0.095 0.640
O 0.880 0.120 0.994
O 0.835 0.303 0.647
O 0.873 0.619 0.490
O 0.372 0.619 0.490
O 0.137 0.884 0.015
O 0.925 0.558 0.238
O 0.121 0.626 0.992
O 0.175 0.433 0.238
O 0.130 0.376 0.506
O 0.368 0.114 0.486
O 0.687 0.200 0.359
O 0.122 0.622 0.489
O 0.597 0.611 0.140
O 0.389 0.887 0.018
O 0.123 0.118 0.487
O 0.199 0.720 0.864
O 0.631 0.877 0.507
O 0.375 0.115 0.992
O 0.623 0.622 0.491
O 0.131 0.877 0.504
O 0.706 0.711 0.858
O 0.694 0.216 0.863
O 0.330 0.296 0.640
O 0.628 0.124 0.996
O 0.379 0.879 0.504
O 0.438 0.563 0.753
O 0.637 0.882 0.018
O 0.950 0.904 0.867
O 0.188 0.447 0.754
O 0.194 0.212 0.864
O 0.377 0.621 0.995
O 0.449 0.403 0.863
O 0.881 0.379 0.506
O 0.380 0.378 0.506
O 0.340 0.280 0.140
O 0.946 0.408 0.869
O 0.126 0.119 0.992
O 0.639 0.380 0.018
O 0.091 0.099 0.137
O 0.834 0.795 0.642
O 0.851 0.781 0.144
O 0.631 0.377 0.506
O 0.937 0.061 0.753
O 0.896 0.888 0.019
O 0.326 0.796 0.638
O 0.186 0.939 0.761
O 0.174 0.929 0.247
O 0.436 0.061 0.752
O 0.583 0.591 0.639
O 0.935 0.408 0.357
O 0.677 0.929 0.240
O 0.136 0.383 0.018
O 0.185 0.706 0.352
O 0.084 0.602 0.133
O 0.423 0.558 0.237
O 0.452 0.898 0.858
O 0.878 0.615 0.987
O 0.186 0.204 0.354
Fe 0.752 0.749 0.498
Fe 0.864 0.910 0.756
Fe 0.503 0.500 0.499
Fe 0.851 0.407 0.242
Fe 0.108 0.599 0.756
Fe 0.100 0.587 0.240
Fe 0.102 0.083 0.243
Fe 0.253 0.750 0.499
Fe 0.751 0.249 0.496
Fe 0.855 0.907 0.244
Fe 0.362 0.411 0.754
Fe 0.255 0.755 0.005
Fe 0.501 0.999 0.496
Fe 0.002 0.998 0.496
Fe 0.352 0.408 0.242
Fe 0.256 0.252 0.005
Fe 0.510 0.503 0.006
Fe 0.358 0.909 0.753
Fe 0.251 0.247 0.496
Fe 0.761 0.254 0.008
Fe 0.602 0.586 0.242
Fe 0.860 0.418 0.759
Fe 0.350 0.907 0.245
Fe 0.613 0.590 0.754
Fe 0.602 0.085 0.244
Fe 0.610 0.095 0.753
Fe 0.112 0.090 0.755
Fe 0.001 0.499 0.497
Co 0.760 0.751 0.003
Co 0.007 0.503 0.003
Co 0.010 0.002 0.005
Co 0.509 0.001 0.006
Sr 0.443 0.702 0.385
Sr 0.943 0.202 0.385
Sr 0.809 0.563 0.612
Sr 0.693 0.434 0.385
Sr 0.451 0.206 0.895
Sr 0.443 0.203 0.385
Sr 0.558 0.797 0.611
Sr 0.057 0.798 0.611
Sr 0.306 0.064 0.609
Sr 0.557 0.297 0.611
Sr 0.193 0.434 0.385
Sr 0.196 0.440 0.895
Sr 0.944 0.702 0.385
Sr 0.693 0.933 0.386
Sr 0.305 0.563 0.610
Sr 0.948 0.208 0.895
Sr 0.057 0.297 0.611
Sr 0.452 0.709 0.895
Sr 0.806 0.066 0.611
Sr 0.703 0.936 0.896

Properties
Total energy after the MP2020 corrections   -1057.442 eV/cell
DFT formation energy   -2348 meV per atom
Total moment   1.012 μB per atom
Symmetry   P1
E   -6.478 eV per atom


Below is a geometry-optimized Sr4Ca4Fe3Co5O20 structure, with properties calculated at the PBE with a Hubbard U level.

Cell lengths 10.775, 11.231, 17.512 Å; angles 108.80, 108.06, 89.81 degrees
Element x y z (fractional)
O 0.083 0.605 0.142
O 0.684 0.941 0.753
O 0.636 0.376 0.506
O 0.376 0.117 0.992
O 0.423 0.063 0.745
O 0.876 0.123 0.490
O 0.676 0.925 0.238
O 0.133 0.864 0.501
O 0.205 0.715 0.863
O 0.172 0.433 0.240
O 0.449 0.404 0.864
O 0.886 0.882 0.502
O 0.183 0.439 0.754
O 0.325 0.793 0.641
O 0.194 0.704 0.354
O 0.096 0.089 0.644
O 0.138 0.383 0.020
O 0.385 0.386 0.503
O 0.337 0.294 0.645
O 0.182 0.933 0.761
O 0.945 0.897 0.355
O 0.626 0.122 0.489
O 0.934 0.065 0.751
O 0.923 0.058 0.238
O 0.707 0.711 0.865
O 0.884 0.389 0.016
O 0.688 0.198 0.353
O 0.436 0.405 0.355
O 0.933 0.577 0.763
O 0.424 0.573 0.248
O 0.097 0.104 0.144
O 0.388 0.390 0.017
O 0.186 0.196 0.353
O 0.870 0.621 0.487
O 0.130 0.116 0.994
O 0.630 0.124 0.997
O 0.829 0.798 0.640
O 0.127 0.105 0.490
O 0.335 0.782 0.139
O 0.870 0.623 0.990
O 0.672 0.431 0.238
O 0.144 0.876 0.014
O 0.170 0.925 0.247
O 0.844 0.294 0.142
O 0.924 0.571 0.249
O 0.620 0.619 0.989
O 0.113 0.615 0.486
O 0.422 0.057 0.239
O 0.132 0.374 0.506
O 0.586 0.605 0.141
O 0.077 0.594 0.642
O 0.881 0.123 0.998
O 0.582 0.595 0.646
O 0.896 0.886 0.019
O 0.436 0.898 0.355
O 0.394 0.886 0.017
O 0.625 0.877 0.502
O 0.342 0.289 0.140
O 0.951 0.899 0.861
O 0.688 0.212 0.861
O 0.363 0.627 0.487
O 0.693 0.696 0.354
O 0.194 0.208 0.865
O 0.373 0.628 0.993
O 0.378 0.883 0.507
O 0.884 0.382 0.504
O 0.431 0.575 0.761
O 0.376 0.113 0.489
O 0.584 0.095 0.640
O 0.644 0.874 0.015
O 0.841 0.778 0.137
O 0.679 0.436 0.761
O 0.947 0.405 0.866
O 0.120 0.626 0.994
O 0.593 0.107 0.140
O 0.450 0.899 0.861
O 0.838 0.305 0.649
O 0.611 0.619 0.488
O 0.639 0.384 0.018
O 0.932 0.403 0.352
Ca 0.441 0.710 0.387
Ca 0.696 0.435 0.899
Ca 0.197 0.927 0.387
Ca 0.302 0.566 0.109
Ca 0.203 0.936 0.898
Ca 0.052 0.789 0.108
Ca 0.307 0.066 0.606
Ca 0.940 0.702 0.387
Ca 0.950 0.715 0.899
Ca 0.553 0.786 0.105
Ca 0.807 0.071 0.107
Ca 0.054 0.291 0.107
Ca 0.804 0.563 0.110
Ca 0.308 0.070 0.105
Ca 0.447 0.715 0.897
Ca 0.552 0.292 0.106
Fe 0.862 0.908 0.752
Fe 0.114 0.090 0.755
Fe 0.859 0.902 0.243
Fe 0.109 0.597 0.756
Fe 0.362 0.412 0.755
Fe 0.357 0.908 0.752
Fe 0.348 0.904 0.245
Fe 0.605 0.095 0.751
Fe 0.604 0.084 0.242
Fe 0.353 0.414 0.245
Fe 0.858 0.417 0.759
Fe 0.610 0.594 0.758
Co 0.012 0.002 0.006
Co 0.259 0.753 0.006
Co 0.512 0.004 0.006
Co 0.002 0.499 0.499
Co 0.255 0.246 0.497
Co 0.259 0.252 0.005
Co 0.506 0.501 0.003
Co 0.750 0.749 0.497
Co 0.855 0.408 0.245
Co 0.758 0.749 0.003
Co 0.108 0.089 0.245
Co 0.606 0.594 0.245
Co 0.003 0.995 0.493
Co 0.250 0.747 0.495
Co 0.103 0.596 0.246
Co 0.503 0.999 0.497
Co 0.005 0.501 0.003
Co 0.501 0.495 0.491
Co 0.759 0.255 0.006
Co 0.754 0.249 0.494
Sr 0.695 0.934 0.385
Sr 0.694 0.435 0.382
Sr 0.189 0.432 0.383
Sr 0.806 0.564 0.612
Sr 0.307 0.562 0.611
Sr 0.060 0.294 0.610
Sr 0.056 0.798 0.610
Sr 0.703 0.939 0.895
Sr 0.554 0.798 0.610
Sr 0.950 0.205 0.895
Sr 0.947 0.199 0.384
Sr 0.451 0.204 0.894
Sr 0.198 0.439 0.896
Sr 0.448 0.200 0.385
Sr 0.562 0.299 0.611
Sr 0.808 0.068 0.609

Properties
Total energy after the MP2020 corrections   -1018.623 eV/cell
DFT formation energy   -2221 meV per atom
Total moment   0.875 μB per atom
Symmetry   P1
E   -6.277 eV per atom